A relaxed structure of Li2Co2SnO6, computed with GGA+U.

Cell: 9.139 5.301 10.221 Å, 90.00 90.00 90.00°
Space group Cmce (No. 64)
Asymmetric unit:
1 Li 0.250 0.092 0.250 [8 per cell]
2 Co 0.163 0.000 0.000 [8 per cell]
3 Sn 0.000 0.000 0.500 [4 per cell]
4 O 0.000 0.160 0.903 [8 per cell]
5 O 0.176 0.157 0.609 [16 per cell]

Output
For the energy relative to the elements, the calculation gives -1724.4 meV/atom.



A relaxed structure of Li2Co3SnO8, computed with GGA+U.

Cell: 5.761 5.761 9.473 Å, 90.00 90.00 120.00°
Space group P1 (No. 1)
Asymmetric unit:
1 Li 0.000 0.000 0.000 [1 per cell]
2 Li 0.000 0.000 0.500 [1 per cell]
3 Li 0.333 0.667 0.394 [1 per cell]
4 Li 0.667 0.333 0.894 [1 per cell]
5 Co 0.173 0.346 0.719 [1 per cell]
6 Co 0.173 0.827 0.719 [1 per cell]
7 Co 0.346 0.173 0.219 [1 per cell]
8 Co 0.654 0.827 0.719 [1 per cell]
9 Co 0.827 0.173 0.219 [1 per cell]
10 Co 0.827 0.654 0.219 [1 per cell]
11 Sn 0.333 0.667 0.997 [1 per cell]
12 Sn 0.667 0.333 0.497 [1 per cell]
13 O 0.000 0.000 0.312 [1 per cell]
14 O 0.000 0.000 0.812 [1 per cell]
15 O 0.031 0.506 0.834 [1 per cell]
16 O 0.161 0.322 0.107 [1 per cell]
17 O 0.161 0.839 0.107 [1 per cell]
18 O 0.322 0.161 0.607 [1 per cell]
19 O 0.333 0.667 0.616 [1 per cell]
20 O 0.475 0.969 0.834 [1 per cell]
21 O 0.494 0.525 0.834 [1 per cell]
22 O 0.525 0.031 0.334 [1 per cell]
23 O 0.525 0.494 0.334 [1 per cell]
24 O 0.667 0.333 0.116 [1 per cell]
25 O 0.678 0.839 0.107 [1 per cell]
26 O 0.839 0.161 0.607 [1 per cell]
27 O 0.839 0.678 0.607 [1 per cell]
28 O 0.969 0.494 0.334 [1 per cell]

Output
The energy above the lowest structure with this stoichiometry comes out at 25 meV/atom. For the energy relative to the elements, the calculation gives -1651.2 meV/atom.



A relaxed structure of Li2Co3SnO8, computed with GGA+U.

Cell: 5.8393 5.8393 14.1498 Å, 90.00 90.00 120.00°
Space group R3m (No. 160, hexagonal axes)
Asymmetric unit:
1 Li 0.0000 0.0000 0.0000 [3 per cell]
2 Li 0.0000 0.0000 0.3749 [3 per cell]
3 Co 0.1724 0.3448 0.8256 [9 per cell]
4 Sn 0.0000 0.0000 0.6078 [3 per cell]
5 O 0.0000 0.0000 0.2300 [3 per cell]
6 O 0.0000 0.0000 0.7536 [3 per cell]
7 O 0.0244 0.5122 0.7604 [9 per cell]
8 O 0.1869 0.3738 0.5698 [9 per cell]

Output
The energy above the lowest structure with this stoichiometry comes out at 214 meV/atom. For the energy relative to the elements, the calculation gives -1461.7 meV/atom.



Number 1: calculated total energy -5.75 eV per atom. Number 2: calculated total energy -5.82 eV per atom. Number 3: calculated total energy -5.63 eV per atom.